Rb3Ta | GGA-PBE | optimized geometry Values from VASP.

Structure (Quantum ESPRESSO input):
```
&SYSTEM
  ibrav = 0, nat = 4, ntyp = 2
/
ATOMIC_SPECIES
Rb 85.47 Rb.upf
Ta 180.95 Ta.upf
ATOMIC_POSITIONS crystal
Rb 0.750 0.250 0.500
Rb 0.250 0.750 0.500
Rb 0.500 0.500 0.000
Ta 0.000 0.000 0.000
CELL_PARAMETERS angstrom
-3.054 3.054 5.738
3.054 -3.054 5.738
3.054 3.054 -5.738
```

Crystal system = tetragonal
Calculated formation energy = 140.2 kJ/mol of atoms
Symmetry = No. 139
E_tot = -0.0826 Ha/atom



TlIn5Se8 | GGA-PBE | optimized geometry Values from VASP.

Structure (Quantum ESPRESSO input):
```
&SYSTEM
  ibrav = 0, nat = 14, ntyp = 3
/
ATOMIC_SPECIES
Tl 204.38 Tl.upf
In 114.82 In.upf
Se 78.96 Se.upf
ATOMIC_POSITIONS crystal
Tl 0.500 0.500 0.500
In 0.363 0.363 0.887
In 0.637 0.637 0.113
In 0.722 0.722 0.661
In 0.278 0.278 0.339
In 0.000 0.000 0.000
Se 0.242 0.242 0.844
Se 0.758 0.758 0.156
Se 0.938 0.938 0.767
Se 0.062 0.062 0.233
Se 0.164 0.164 0.533
Se 0.836 0.836 0.467
Se 0.587 0.587 0.885
Se 0.413 0.413 0.115
CELL_PARAMETERS angstrom
2.035 10.178 0.000
-2.035 10.178 0.000
0.000 1.883 9.733
```

Crystal system = monoclinic
Calculated formation energy = -72.2 kJ/mol of atoms
Symmetry = No. 12
E_tot = -0.1333 Ha/atom



Mg30CdSnO32 | GGA-PBE | optimized geometry Values from VASP.

Structure (Quantum ESPRESSO input):
```
&SYSTEM
  ibrav = 0, nat = 64, ntyp = 4
/
ATOMIC_SPECIES
Mg 24.30 Mg.upf
Cd 112.41 Cd.upf
Sn 118.71 Sn.upf
O 16.00 O.upf
ATOMIC_POSITIONS crystal
Mg 0.500 0.000 0.000
Mg 0.000 0.500 0.000
Mg 0.000 0.000 0.500
Mg 0.500 0.000 0.500
Mg 0.000 0.500 0.500
Mg 0.500 0.500 0.500
Mg 0.252 0.252 0.000
Mg 0.748 0.252 0.000
Mg 0.252 0.748 0.000
Mg 0.748 0.748 0.000
Mg 0.250 0.250 0.500
Mg 0.750 0.250 0.500
Mg 0.250 0.750 0.500
Mg 0.750 0.750 0.500
Mg 0.254 0.000 0.254
Mg 0.746 0.000 0.254
Mg 0.248 0.500 0.252
Mg 0.752 0.500 0.252
Mg 0.254 0.000 0.746
Mg 0.746 0.000 0.746
Mg 0.248 0.500 0.748
Mg 0.752 0.500 0.748
Mg 0.000 0.254 0.254
Mg 0.500 0.248 0.252
Mg 0.000 0.746 0.254
Mg 0.500 0.752 0.252
Mg 0.000 0.254 0.746
Mg 0.500 0.248 0.748
Mg 0.000 0.746 0.746
Mg 0.500 0.752 0.748
Cd 0.500 0.500 0.000
Sn 0.000 0.000 0.000
O 0.000 0.000 0.270
O 0.500 0.000 0.254
O 0.000 0.500 0.254
O 0.500 0.500 0.264
O 0.000 0.000 0.730
O 0.500 0.000 0.746
O 0.000 0.500 0.746
O 0.500 0.500 0.736
O 0.250 0.250 0.249
O 0.750 0.250 0.249
O 0.250 0.750 0.249
O 0.750 0.750 0.249
O 0.250 0.250 0.751
O 0.750 0.250 0.751
O 0.250 0.750 0.751
O 0.750 0.750 0.751
O 0.268 0.000 0.000
O 0.732 0.000 0.000
O 0.239 0.500 0.000
O 0.761 0.500 0.000
O 0.253 0.000 0.500
O 0.747 0.000 0.500
O 0.249 0.500 0.500
O 0.751 0.500 0.500
O 0.000 0.268 0.000
O 0.500 0.239 0.000
O 0.000 0.732 0.000
O 0.500 0.761 0.000
O 0.000 0.253 0.500
O 0.500 0.249 0.500
O 0.000 0.747 0.500
O 0.500 0.751 0.500
CELL_PARAMETERS angstrom
8.640 0.000 0.000
0.000 8.640 0.000
0.000 0.000 8.639
```

Crystal system = tetragonal
Calculated formation energy = -279.2 kJ/mol of atoms
Symmetry = No. 123
E_tot = -0.2150 Ha/atom



BaSr3I8 | GGA-PBE | optimized geometry Values from VASP.

Structure (Quantum ESPRESSO input):
```
&SYSTEM
  ibrav = 0, nat = 12, ntyp = 3
/
ATOMIC_SPECIES
Ba 137.33 Ba.upf
Sr 87.62 Sr.upf
I 126.90 I.upf
ATOMIC_POSITIONS crystal
Ba 0.000 0.000 0.000
Sr 0.500 0.500 0.000
Sr 0.250 0.750 0.500
Sr 0.750 0.250 0.500
I 0.873 0.381 0.000
I 0.381 0.381 0.509
I 0.619 0.127 0.000
I 0.127 0.127 0.509
I 0.873 0.873 0.491
I 0.381 0.873 0.000
I 0.127 0.619 0.000
I 0.619 0.619 0.491
CELL_PARAMETERS angstrom
3.267 1.378 9.339
-6.038 -4.736 6.395
4.635 -3.055 -8.305
```

Crystal system = tetragonal
Calculated formation energy = -188.0 kJ/mol of atoms
Symmetry = No. 139
E_tot = -0.1211 Ha/atom